This record from the Materials Project database describes a relaxed structure of DySbPd. The functional is PBE-GGA.

a b c (Å): 6.6022 6.6022 6.6022
angles (deg): 90.00 90.00 90.00
Space group F-43m (No. 216)
Symmetry-distinct sites (fractional):
Dy 0.0000 0.0000 0.0000 (multiplicity 4)
Sb 0.0000 0.0000 0.5000 (multiplicity 4)
Pd 0.2500 0.2500 0.2500 (multiplicity 4)

Summary:
The crystal system is cubic. As for the formation energy: -1.125 eV per atom.